First-principles (PBE) data for a relaxed structure of SmB3O6, as listed in the Materials Project.

Cell and atoms, written as CIF:
```
data_SmB3O6
_cell_length_a 16.244
_cell_length_b 7.507
_cell_length_c 12.478
_cell_angle_alpha 90.00
_cell_angle_beta 90.00
_cell_angle_gamma 90.00
_space_group_name_H-M_alt 'P n m a'
_space_group_IT_number 62
loop_
_space_group_symop_operation_xyz
'x,y,z'
'-x,-y,-z'
'-x+1/2,-y,z+1/2'
'x+1/2,y,-z+1/2'
'x+1/2,-y+1/2,-z+1/2'
'-x+1/2,y+1/2,z+1/2'
'-x,y+1/2,-z'
'x,-y+1/2,z'
loop_
_atom_site_label
_atom_site_type_symbol
_atom_site_fract_x
_atom_site_fract_y
_atom_site_fract_z
Sm1 Sm 0.048 0.250 0.086
Sm2 Sm 0.120 0.750 0.506
Sm3 Sm 0.127 0.750 0.226
Sm4 Sm 0.171 0.250 0.431
B1 B 0.029 0.062 0.320
B2 B 0.058 0.073 0.845
B3 B 0.110 0.077 0.645
B4 B 0.155 0.576 0.981
B5 B 0.217 0.071 0.813
B6 B 0.243 0.069 0.129
O1 O 0.019 0.516 0.208
O2 O 0.047 0.250 0.893
O3 O 0.049 0.562 0.624
O4 O 0.062 0.250 0.303
O5 O 0.072 0.552 0.933
O6 O 0.079 0.250 0.609
O7 O 0.094 0.538 0.374
O8 O 0.129 0.073 0.765
O9 O 0.161 0.750 0.035
O10 O 0.167 0.060 0.066
O11 O 0.185 0.035 0.580
O12 O 0.218 0.559 0.898
O13 O 0.225 0.517 0.231
O14 O 0.225 0.750 0.637
O15 O 0.244 0.250 0.852
```

Calculated values
E above lowest polymorph = 0 meV per atom
crystal system = orthorhombic
calculated formation energy = -3.184 eV per atom